No. 1
Eu2Ni2O5, optimized geometry, DFT PBE+U; size of the total moment = 34.00 Bohr magnetons per cell; symmetry = P1, No. 1; energy with MP2020 corrections = -152.64 eV per cell; calculated formation energy = -2.17 eV per atom
1.0
-1.975 -0.111 -5.003
2.785 -4.828 -1.008
-6.538 -1.587 5.456
Eu Ni O
4 4 10
direct
0.400 0.912 0.784
0.613 0.087 0.217
0.898 0.370 0.782
0.113 0.628 0.216
0.995 0.999 0.993
0.501 0.505 0.005
0.790 0.688 0.500
0.294 0.318 0.500
0.765 0.269 0.027
0.739 0.734 0.974
0.265 0.259 0.026
0.237 0.740 0.973
0.840 0.932 0.727
0.116 0.078 0.289
0.328 0.287 0.711
0.610 0.704 0.273
0.164 0.629 0.502
0.646 0.362 0.500


No. 2
Mn5O3F5, optimized geometry, DFT PBE+U; size of the total moment = 0.00 Bohr magnetons per cell; symmetry = R3m, No. 160; energy with MP2020 corrections = -204.60 eV per cell; calculated formation energy = -2.47 eV per atom
1.0
-0.049 -5.353 -3.565
-4.481 -4.501 1.015
-7.665 6.689 -4.146
Mn O F
10 6 10
direct
0.980 0.510 0.470
0.980 0.010 0.970
0.886 0.057 0.324
0.381 0.057 0.324
0.381 0.562 0.324
0.370 0.815 0.555
0.371 0.314 0.057
0.886 0.557 0.823
0.381 0.557 0.823
0.381 0.062 0.823
0.130 0.705 0.425
0.131 0.208 0.922
0.591 0.705 0.425
0.583 0.209 0.922
0.130 0.165 0.425
0.131 0.661 0.922
0.125 0.938 0.187
0.122 0.439 0.683
0.618 0.691 0.926
0.617 0.191 0.426
0.611 0.483 0.706
0.612 0.980 0.206
0.188 0.906 0.706
0.186 0.407 0.206
0.611 0.906 0.705
0.613 0.407 0.206


No. 3
Ba2V2FeO9, optimized geometry, DFT PBE+U; size of the total moment = 8.00 Bohr magnetons per cell; symmetry = P2_1/m, No. 11; energy with MP2020 corrections = -221.53 eV per cell; calculated formation energy = -2.55 eV per atom
1.0
6.064 0.000 0.000
0.000 8.272 0.000
0.000 3.695 8.574
Ba V Fe O
4 4 2 18
direct
0.250 0.317 0.590
0.750 0.683 0.410
0.250 0.726 0.763
0.750 0.274 0.237
0.250 0.955 0.332
0.750 0.045 0.668
0.250 0.569 0.177
0.750 0.431 0.823
0.500 0.000 0.000
0.000 0.000 0.000
0.250 0.460 0.057
0.750 0.540 0.943
0.994 0.003 0.786
0.006 0.997 0.214
0.494 0.997 0.214
0.506 0.003 0.786
0.250 0.739 0.455
0.750 0.261 0.545
0.250 0.077 0.442
0.750 0.923 0.558
0.478 0.502 0.298
0.522 0.498 0.702
0.978 0.498 0.702
0.022 0.502 0.298
0.250 0.808 0.053
0.750 0.192 0.947
0.250 0.145 0.942
0.750 0.855 0.058


No. 4
Li4Mn2V3Cr3O16, optimized geometry, DFT PBE+U; size of the total moment = 18.99 Bohr magnetons per cell; symmetry = Cm, No. 8; energy with MP2020 corrections = -226.49 eV per cell; calculated formation energy = -2.33 eV per atom
1.0
-0.488 -1.531 -5.659
4.787 -1.739 -2.944
-1.500 -9.266 2.206
Li Mn V Cr O
4 2 3 3 16
direct
0.663 0.663 0.895
0.009 0.009 0.995
0.004 0.004 0.495
0.333 0.333 0.396
0.663 0.663 0.487
0.331 0.331 0.989
0.660 0.162 0.715
0.832 0.832 0.209
0.162 0.660 0.715
0.832 0.340 0.216
0.340 0.832 0.216
0.169 0.169 0.712
0.829 0.327 0.603
0.514 0.514 0.333
0.680 0.680 0.105
0.991 0.991 0.310
0.993 0.993 0.811
0.327 0.829 0.603
0.957 0.528 0.337
0.528 0.957 0.337
0.166 0.166 0.098
0.842 0.842 0.606
0.485 0.034 0.833
0.034 0.485 0.833
0.340 0.340 0.603
0.683 0.148 0.107
0.476 0.476 0.843
0.148 0.683 0.107


No. 5
FePO5, optimized geometry, DFT PBE+U; size of the total moment = 26.33 Bohr magnetons per cell; symmetry = C2/c, No. 15; energy with MP2020 corrections = -302.76 eV per cell; calculated formation energy = -1.69 eV per atom
1.0
-7.880 1.245 2.992
-4.472 -6.117 -3.897
-0.938 -6.468 6.448
Fe P O
6 6 30
direct
0.776 0.224 0.250
0.224 0.776 0.750
0.397 0.248 0.069
0.603 0.752 0.931
0.752 0.603 0.431
0.248 0.397 0.569
0.660 0.921 0.176
0.340 0.079 0.824
0.079 0.340 0.324
0.921 0.660 0.676
0.513 0.487 0.250
0.487 0.513 0.750
0.792 0.020 0.184
0.208 0.980 0.816
0.980 0.208 0.316
0.020 0.792 0.684
0.139 0.861 0.250
0.861 0.139 0.750
0.733 0.834 0.040
0.267 0.166 0.960
0.166 0.267 0.460
0.834 0.733 0.540
0.631 0.796 0.327
0.369 0.204 0.673
0.204 0.369 0.173
0.796 0.631 0.827
0.489 0.630 0.115
0.511 0.370 0.885
0.370 0.511 0.385
0.630 0.489 0.615
0.703 0.116 0.442
0.297 0.884 0.558
0.884 0.297 0.058
0.116 0.703 0.942
0.495 0.033 0.156
0.505 0.967 0.844
0.967 0.505 0.344
0.033 0.495 0.656
0.537 0.318 0.200
0.463 0.682 0.800
0.682 0.463 0.300
0.318 0.537 0.700


No. 6
MgMn6O8F4, optimized geometry, DFT PBE+U; size of the total moment = 24.00 Bohr magnetons per cell; symmetry = P1, No. 1; energy with MP2020 corrections = -146.67 eV per cell; calculated formation energy = -2.26 eV per atom
1.0
7.431 -0.904 0.952
0.915 -5.396 1.451
2.499 -2.485 -4.698
Mg Mn O F
1 6 8 4
direct
0.151 0.332 0.847
0.819 0.682 0.662
0.680 0.380 0.299
0.348 0.711 0.645
0.161 0.310 0.324
0.514 0.026 0.019
0.963 0.923 0.059
0.340 0.369 0.988
0.630 0.604 0.539
0.971 0.211 0.191
0.695 0.128 0.116
0.044 0.713 0.792
0.330 0.974 0.344
0.654 0.683 0.009
0.008 0.649 0.332
0.662 0.073 0.653
0.281 0.958 0.883
0.353 0.400 0.495
0.997 0.256 0.684